DFT (PBE) results for a relaxed structure of BN.

Calculated values
- ΔE to the lowest computed polymorph: 0.743 eV/atom
- SG: P1
- Total magnetic moment: 0.0 μB per cell

```
BN
1.0
-1.601 -9.910 3.865
-0.583 -2.965 -9.997
10.318 -2.213 -1.532
B N
50 50
Direct
0.609 0.269 0.585 B
0.049 0.815 0.544 B
0.357 0.188 0.648 B
0.861 0.929 0.426 B
0.844 0.856 0.882 B
0.622 0.142 0.441 B
0.908 0.184 0.383 B
0.518 0.738 0.244 B
0.052 0.914 0.750 B
0.933 0.026 0.911 B
0.354 0.544 0.876 B
0.733 0.951 0.772 B
0.216 0.693 0.966 B
0.070 0.677 0.761 B
0.535 0.446 0.067 B
0.235 0.860 0.141 B
0.427 0.657 0.060 B
0.812 0.155 0.179 B
0.518 0.891 0.132 B
0.811 0.366 0.776 B
0.670 0.503 0.454 B
0.060 0.436 0.792 B
0.971 0.242 0.524 B
0.673 0.004 0.533 B
0.481 0.053 0.969 B
0.278 0.356 0.792 B
0.726 0.460 0.671 B
0.226 0.977 0.258 B
0.143 0.176 0.701 B
0.142 0.306 0.994 B
0.601 0.927 0.378 B
0.725 0.162 0.566 B
0.606 0.351 0.315 B
0.962 0.268 0.925 B
0.736 0.693 0.744 B
0.174 0.204 0.210 B
0.079 0.798 0.951 B
0.195 0.008 0.589 B
0.990 0.292 0.172 B
0.650 0.309 0.937 B
0.128 0.581 0.576 B
0.446 0.078 0.545 B
0.071 0.296 0.384 B
0.711 0.015 0.015 B
0.549 0.579 0.246 B
0.295 0.117 0.046 B
0.132 0.359 0.508 B
0.078 0.028 0.395 B
0.178 0.726 0.378 B
0.837 0.700 0.466 B
0.282 0.994 0.134 N
0.177 0.485 0.514 N
0.218 0.592 0.345 N
0.611 0.228 0.330 N
0.373 0.459 0.802 N
0.446 0.768 0.124 N
0.723 0.275 0.853 N
0.012 0.313 0.041 N
0.180 0.794 0.041 N
0.123 0.944 0.500 N
0.317 0.073 0.581 N
0.926 0.608 0.195 N
0.768 0.070 0.111 N
0.072 0.256 0.611 N
0.983 0.891 0.892 N
0.100 0.301 0.254 N
0.648 0.412 0.569 N
0.760 0.609 0.441 N
0.714 0.585 0.706 N
0.337 0.638 0.958 N
0.162 0.369 0.865 N
0.548 0.870 0.270 N
0.864 0.650 0.118 N
0.580 0.351 0.025 N
0.790 0.980 0.906 N
0.754 0.807 0.799 N
0.574 0.977 0.020 N
0.042 0.799 0.690 N
0.174 0.085 0.301 N
0.100 0.682 0.895 N
0.942 0.042 0.386 N
0.222 0.221 0.080 N
0.502 0.552 0.120 N
0.384 0.120 0.947 N
0.535 0.011 0.475 N
0.123 0.709 0.498 N
0.986 0.142 0.907 N
0.488 0.200 0.603 N
0.082 0.561 0.706 N
0.210 0.833 0.281 N
0.710 0.027 0.659 N
0.602 0.480 0.330 N
0.721 0.934 0.432 N
0.914 0.810 0.479 N
0.876 0.244 0.244 N
0.258 0.546 0.264 N
0.124 0.030 0.707 N
0.847 0.211 0.505 N
0.271 0.243 0.722 N
0.938 0.372 0.819 N
```